Record 1
A geometry-optimized W3Se2S4 structure, computed with PBE-GGA.

a b c (Å): 3.232 3.232 29.695
angles (deg): 90.00 90.00 120.00
Fractional coordinates of all 9 atoms:
1 W 0.000 0.000 0.231
2 W 0.000 0.000 0.769
3 S 0.333 0.667 0.716
4 Se 0.000 0.000 0.942
5 S 0.333 0.667 0.821
6 S 0.333 0.667 0.179
7 S 0.333 0.667 0.284
8 Se 0.000 0.000 0.058
9 W 0.333 0.667 0.000

Results
Calculated formation energy ... -0.941 eV per atom
DFT total energy ... -7.653 eV per atom


Record 2
A geometry-optimized V7S8 structure, computed with PBE-GGA.

a b c (Å): 6.383 6.383 6.050
angles (deg): 90.00 90.00 120.00
Fractional coordinates of all 15 atoms:
1 S 0.672 0.836 0.747
2 V 0.500 0.000 0.000
3 S 0.836 0.164 0.253
4 V 0.000 0.500 0.000
5 S 0.328 0.164 0.253
6 S 0.333 0.667 0.249
7 S 0.164 0.328 0.747
8 V 0.000 0.500 0.500
9 V 0.500 0.000 0.500
10 S 0.667 0.333 0.751
11 V 0.500 0.500 0.000
12 V 0.500 0.500 0.500
13 S 0.164 0.836 0.747
14 S 0.836 0.672 0.253
15 V 0.000 0.000 0.000

Results
Calculated formation energy ... -1.167 eV per atom
DFT total energy ... -7.344 eV per atom
Energy relative to the lowest polymorph listed for this composition ... 7 meV/atom


Record 3
A geometry-optimized CeSe2 structure, computed with PBE-GGA.

a b c (Å): 9.608 9.608 7.935
angles (deg): 90.00 90.00 97.15
Fractional coordinates of all 12 atoms:
1 Se 0.713 0.713 0.500
2 Se 0.476 0.894 0.088
3 Ce 0.955 0.651 0.644
4 Ce 0.045 0.349 0.144
5 Ce 0.651 0.955 0.356
6 Se 0.106 0.524 0.412
7 Se 0.895 0.105 0.250
8 Se 0.894 0.476 0.912
9 Ce 0.349 0.045 0.856
10 Se 0.287 0.287 0.000
11 Se 0.524 0.106 0.588
12 Se 0.105 0.895 0.750

Results
Calculated formation energy ... -1.409 eV per atom
DFT total energy ... -5.403 eV per atom


Record 4
A geometry-optimized Zn5Si2N6 structure, computed with PBE-GGA.

a b c (Å): 11.263 11.263 5.658
angles (deg): 90.00 90.00 90.00
Fractional coordinates of all 52 atoms:
1 Si 0.210 0.381 0.247
2 Zn 0.500 0.000 0.000
3 Zn 0.402 0.271 0.085
4 Zn 0.000 0.500 0.000
5 N 0.121 0.379 0.500
6 Si 0.619 0.210 0.753
7 Zn 0.687 0.440 0.402
8 Si 0.790 0.619 0.247
9 Zn 0.313 0.560 0.402
10 N 0.121 0.141 0.661
11 N 0.379 0.879 0.500
12 Si 0.290 0.881 0.247
13 N 0.621 0.121 0.500
14 N 0.026 0.678 0.845
15 Zn 0.000 0.500 0.500
16 N 0.879 0.859 0.661
17 Si 0.119 0.290 0.753
18 Zn 0.098 0.771 0.085
19 N 0.621 0.359 0.661
20 Zn 0.271 0.598 0.915
21 N 0.879 0.621 0.500
22 N 0.322 0.026 0.155
23 Zn 0.560 0.687 0.598
24 Zn 0.187 0.060 0.402
25 N 0.822 0.474 0.155
26 Zn 0.500 0.000 0.500
27 N 0.712 0.212 0.000
28 Zn 0.813 0.940 0.402
29 N 0.788 0.712 0.000
30 N 0.974 0.322 0.845
31 N 0.526 0.822 0.845
32 N 0.859 0.121 0.339
33 Zn 0.940 0.187 0.598
34 Si 0.710 0.119 0.247
35 Zn 0.902 0.229 0.085
36 N 0.678 0.974 0.155
37 Zn 0.440 0.313 0.598
38 N 0.288 0.788 0.000
39 Si 0.381 0.790 0.753
40 N 0.379 0.641 0.661
41 Zn 0.729 0.402 0.915
42 Zn 0.060 0.813 0.598
43 N 0.474 0.178 0.845
44 N 0.359 0.379 0.339
45 N 0.141 0.879 0.339
46 N 0.178 0.526 0.155
47 Zn 0.598 0.729 0.085
48 N 0.641 0.621 0.339
49 Si 0.881 0.710 0.753
50 N 0.212 0.288 0.000
51 Zn 0.771 0.902 0.915
52 Zn 0.229 0.098 0.915

Results
Calculated formation energy ... -0.318 eV per atom
DFT total energy ... -5.318 eV per atom
Energy relative to the lowest polymorph listed for this composition ... 121 meV/atom


Record 5
A geometry-optimized Ge3Te6As2 structure, computed with PBE-GGA.

a b c (Å): 20.586 20.586 20.586
angles (deg): 11.65 11.65 11.65
Fractional coordinates of all 11 atoms:
1 Ge 0.000 0.000 0.000
2 Ge 0.725 0.725 0.725
3 As 0.450 0.450 0.450
4 Te 0.362 0.362 0.362
5 Te 0.638 0.638 0.638
6 As 0.550 0.550 0.550
7 Te 0.192 0.192 0.192
8 Ge 0.275 0.275 0.275
9 Te 0.086 0.086 0.086
10 Te 0.808 0.808 0.808
11 Te 0.914 0.914 0.914

Results
Calculated formation energy ... -0.051 eV per atom
DFT total energy ... -3.874 eV per atom


Record 6
A geometry-optimized NpCl3 structure, computed with PBE-GGA.

a b c (Å): 7.442 7.442 4.309
angles (deg): 90.00 90.00 120.00
Fractional coordinates of all 8 atoms:
1 Cl 0.694 0.086 0.250
2 Np 0.333 0.667 0.250
3 Cl 0.306 0.914 0.750
4 Cl 0.914 0.609 0.250
5 Cl 0.391 0.306 0.250
6 Np 0.667 0.333 0.750
7 Cl 0.609 0.694 0.750
8 Cl 0.086 0.391 0.750

Results
Calculated formation energy ... -2.234 eV per atom
DFT total energy ... -6.397 eV per atom


Record 7
A geometry-optimized Sr3In structure, computed with PBE-GGA.

a b c (Å): 6.130 6.130 6.130
angles (deg): 60.00 60.00 60.00
Fractional coordinates of all 4 atoms:
1 Sr 0.250 0.250 0.250
2 Sr 0.500 0.500 0.500
3 Sr 0.750 0.750 0.750
4 In 0.000 0.000 0.000

Results
Calculated formation energy ... -0.123 eV per atom
DFT total energy ... -2.078 eV per atom


Record 8
A geometry-optimized SrCeMg14 structure, computed with PBE-GGA.

a b c (Å): 6.718 6.718 10.517
angles (deg): 90.00 90.00 120.00
Fractional coordinates of all 16 atoms:
1 Mg 0.341 0.682 0.880
2 Mg 0.662 0.324 0.125
3 Ce 0.167 0.333 0.125
4 Mg 0.833 0.667 0.877
5 Mg 0.177 0.839 0.625
6 Mg 0.818 0.159 0.880
7 Mg 0.341 0.159 0.370
8 Mg 0.833 0.667 0.373
9 Mg 0.661 0.839 0.625
10 Sr 0.167 0.333 0.625
11 Mg 0.662 0.838 0.125
12 Mg 0.341 0.682 0.370
13 Mg 0.818 0.159 0.370
14 Mg 0.661 0.323 0.625
15 Mg 0.176 0.838 0.125
16 Mg 0.341 0.159 0.880

Results
Calculated formation energy ... 0.063 eV per atom
DFT total energy ... -1.813 eV per atom
Energy relative to the lowest polymorph listed for this composition ... 0 meV/atom


Record 9
A geometry-optimized NdZn3P3 structure, computed with PBE-GGA.

a b c (Å): 4.053 4.053 20.093
angles (deg): 90.00 90.00 120.00
Fractional coordinates of all 14 atoms:
1 Nd 0.000 0.000 0.000
2 P 0.333 0.667 0.250
3 P 0.667 0.333 0.413
4 Nd 0.000 0.000 0.500
5 Zn 0.667 0.333 0.871
6 Zn 0.333 0.667 0.371
7 Zn 0.667 0.333 0.629
8 P 0.333 0.667 0.913
9 Zn 0.333 0.667 0.129
10 P 0.333 0.667 0.587
11 Zn 0.333 0.667 0.750
12 Zn 0.667 0.333 0.250
13 P 0.667 0.333 0.087
14 P 0.667 0.333 0.750

Results
Calculated formation energy ... -0.594 eV per atom
DFT total energy ... -4.135 eV per atom


Record 10
A geometry-optimized Sc2B4Ru5 structure, computed with PBE-GGA.

a b c (Å): 3.010 8.532 10.100
angles (deg): 89.95 90.00 90.00
Fractional coordinates of all 22 atoms:
1 Sc 0.500 0.343 0.320
2 Sc 0.500 0.157 0.819
3 Ru 0.000 0.404 0.762
4 B 0.500 0.852 0.900
5 Ru 0.000 0.000 0.000
6 Ru 0.000 0.500 0.500
7 Ru 0.000 0.904 0.739
8 Sc 0.500 0.657 0.680
9 Sc 0.500 0.843 0.181
10 Ru 0.000 0.341 0.047
11 Ru 0.000 0.096 0.261
12 Ru 0.000 0.596 0.238
13 B 0.500 0.035 0.410
14 Ru 0.000 0.659 0.953
15 Ru 0.000 0.160 0.548
16 B 0.500 0.648 0.399
17 B 0.500 0.466 0.910
18 B 0.500 0.148 0.100
19 B 0.500 0.534 0.090
20 Ru 0.000 0.840 0.452
21 B 0.500 0.965 0.590
22 B 0.500 0.352 0.601

Results
Calculated formation energy ... -0.629 eV per atom
DFT total energy ... -8.425 eV per atom


Record 11
A geometry-optimized BaGaB4H3O10 structure, computed with PBE-GGA.

a b c (Å): 7.200 7.250 10.036
angles (deg): 107.42 90.25 119.52
Fractional coordinates of all 38 atoms:
1 B 0.439 0.364 0.346
2 Ba 0.080 0.300 0.706
3 H 0.834 0.682 0.977
4 O 0.470 0.542 0.307
5 H 0.623 0.175 0.090
6 O 0.112 0.186 0.933
7 B 0.063 0.254 0.358
8 O 0.770 0.796 0.643
9 O 0.367 0.824 0.399
10 B 0.624 0.241 0.908
11 H 0.377 0.825 0.910
12 B 0.937 0.746 0.642
13 O 0.615 0.351 0.377
14 Ba 0.920 0.700 0.294
15 H 0.814 0.895 0.063
16 O 0.230 0.204 0.357
17 H 0.166 0.318 0.023
18 Ga 0.393 0.911 0.620
19 O 0.881 0.112 0.399
20 O 0.312 0.696 0.947
21 B 0.698 0.401 0.704
22 O 0.888 0.814 0.067
23 O 0.091 0.433 0.324
24 Ga 0.607 0.089 0.380
25 O 0.119 0.888 0.601
26 O 0.633 0.176 0.601
27 B 0.302 0.599 0.296
28 O 0.543 0.969 0.169
29 B 0.561 0.636 0.654
30 O 0.688 0.304 0.053
31 B 0.376 0.759 0.092
32 H 0.186 0.105 0.937
33 O 0.457 0.031 0.831
34 O 0.255 0.590 0.149
35 O 0.745 0.410 0.851
36 O 0.385 0.649 0.623
37 O 0.530 0.458 0.693
38 O 0.909 0.567 0.676

Results
Calculated formation energy ... -2.523 eV per atom
DFT total energy ... -6.968 eV per atom
Energy relative to the lowest polymorph listed for this composition ... 0 meV/atom


Record 12
A geometry-optimized NbH8N2OF5 structure, computed with PBE-GGA.

a b c (Å): 10.761 10.761 14.516
angles (deg): 47.85 47.85 32.73
Fractional coordinates of all 68 atoms:
1 N 0.198 0.673 0.426
2 F 0.123 0.092 0.156
3 H 0.160 0.861 0.711
4 F 0.033 0.435 0.653
5 N 0.196 0.710 0.757
6 H 0.327 0.647 0.412
7 O 0.676 0.261 0.691
8 F 0.057 0.030 0.974
9 H 0.300 0.128 0.686
10 H 0.128 0.300 0.186
11 N 0.467 0.959 0.703
12 F 0.867 0.860 0.190
13 Nb 0.450 0.949 0.040
14 F 0.435 0.033 0.153
15 H 0.280 0.997 0.434
16 F 0.860 0.867 0.690
17 F 0.721 0.112 0.478
18 N 0.437 0.955 0.376
19 H 0.569 0.369 0.218
20 H 0.075 0.746 0.754
21 H 0.426 0.061 0.373
22 H 0.192 0.555 0.511
23 H 0.647 0.327 0.912
24 H 0.930 0.474 0.284
25 H 0.493 0.830 0.717
26 F 0.092 0.123 0.656
27 H 0.369 0.569 0.718
28 F 0.329 0.383 0.171
29 F 0.383 0.329 0.671
30 Nb 0.703 0.200 0.588
31 N 0.959 0.467 0.203
32 Nb 0.949 0.450 0.540
33 H 0.777 0.583 0.908
34 H 0.555 0.192 0.011
35 H 0.235 0.651 0.349
36 H 0.474 0.930 0.784
37 N 0.673 0.198 0.926
38 F 0.638 0.587 0.674
39 N 0.955 0.437 0.876
40 H 0.861 0.160 0.211
41 H 0.830 0.493 0.217
42 H 0.987 0.455 0.783
43 H 0.845 0.030 0.935
44 O 0.476 0.892 0.936
45 N 0.710 0.196 0.257
46 Nb 0.200 0.703 0.088
47 F 0.570 0.508 0.452
48 O 0.892 0.476 0.436
49 H 0.954 0.595 0.124
50 F 0.282 0.295 0.442
51 H 0.455 0.987 0.283
52 H 0.030 0.845 0.435
53 H 0.583 0.777 0.408
54 F 0.587 0.638 0.174
55 H 0.651 0.235 0.849
56 O 0.261 0.676 0.191
57 H 0.061 0.426 0.873
58 F 0.769 0.821 0.960
59 H 0.595 0.954 0.624
60 F 0.508 0.570 0.952
61 F 0.295 0.282 0.942
62 H 0.665 0.176 0.353
63 F 0.821 0.769 0.460
64 F 0.030 0.057 0.474
65 H 0.997 0.280 0.934
66 H 0.746 0.075 0.254
67 H 0.176 0.665 0.853
68 F 0.112 0.721 0.978

Results
Calculated formation energy ... -1.699 eV per atom
DFT total energy ... -5.549 eV per atom


Question: Among the records above, which one has the lowest calculated formation energy?
Answer: BaGaB4H3O10